# KHf4BiO12

A relaxed structure of KHf4BiO12 (GGA-PBE, Materials Project).

Calculated values
For the formation energy, the calculation gives -2878 meV per atom.

Cell: 5.698 5.698 8.260 Å, 90.00 90.00 88.86°
Fractional coordinates of all 18 atoms:
1 Hf 0.495 0.989 0.245
2 Hf 0.011 0.505 0.755
3 Hf 0.011 0.505 0.245
4 Hf 0.495 0.989 0.755
5 O 0.329 0.671 0.674
6 O 0.695 0.305 0.263
7 O 0.329 0.671 0.326
8 O 0.027 0.523 0.000
9 O 0.198 0.198 0.756
10 O 0.695 0.305 0.737
11 O 0.802 0.802 0.244
12 O 0.919 0.520 0.500
13 O 0.802 0.802 0.756
14 O 0.477 0.973 0.000
15 O 0.480 0.081 0.500
16 O 0.198 0.198 0.244
17 K 0.976 0.024 0.000
18 Bi 0.548 0.452 0.500

---

# KHfSnBiO6

A relaxed structure of KHfSnBiO6 (GGA-PBE, Materials Project).

Calculated values
For the formation energy, the calculation gives -2389 meV per atom.

Cell: 5.812 5.812 5.812 Å, 60.00 60.00 60.00°
Fractional coordinates of all 10 atoms:
1 Bi 0.750 0.750 0.750
2 O 0.250 0.250 0.750
3 O 0.250 0.750 0.250
4 O 0.750 0.250 0.250
5 O 0.250 0.750 0.750
6 O 0.750 0.750 0.250
7 O 0.750 0.250 0.750
8 Hf 0.000 0.000 0.000
9 Sn 0.500 0.500 0.500
10 K 0.250 0.250 0.250